LiNi3O3F: optimized geometry, PBE+U.

Energy of formation: -1.63 eV per atom
Magnetization: 6.00 μB/f.u.
Symmetry: P4/mmm

a = 2.962 Å, b = 2.962 Å, c = 8.524 Å
α = 90.00°, β = 90.00°, γ = 90.00°
Positions (direct):
Li 0.000 0.000 0.500
Ni 0.500 0.500 0.754
Ni 0.000 0.000 0.000
Ni 0.500 0.500 0.246
O 0.000 0.000 0.750
O 0.500 0.500 0.000
O 0.000 0.000 0.250
F 0.500 0.500 0.500